[1]
This record from the Materials Project database describes an optimized crystal structure of Te2AsS4N4Cl3F6. The functional is PBE.

Lattice parameters (Å, degrees): 10.1882 10.6189 10.6782 108.37 114.84 91.45
Last column: nearest neighbours and their distance in Å.
Positions (direct):
Te (0.0000, 0.0000, 0.0000)  1 N 2.01
Te (0.0275, 0.4478, 0.5200)  1 F 2.00, 1 N 2.02
Te (0.4416, 0.4015, 0.4147)  1 N 2.04
Te (0.5712, 0.0343, 0.1123)  1 N 2.02
As (0.2558, 0.0158, 0.5129)  6 F 1.77-1.79
As (0.7823, 0.3982, 0.0189)  5 F 1.72-1.74
S (0.0341, 0.0572, 0.8049)  1 N 1.61
S (0.2487, 0.6069, 0.3052)  2 N 1.56-1.58
S (0.2833, 0.4812, 0.8263)  2 N 1.56-1.58
S (0.4944, 0.5240, 0.2730)  1 N 1.62
S (0.5344, 0.9201, 0.2687)  1 N 1.62
S (0.7383, 0.9457, 0.6910)  2 N 1.56-1.58
S (0.7871, 0.8541, 0.2376)  2 N 1.56-1.57
S (0.9799, 0.4097, 0.7201)  1 N 1.63
N (0.1480, 0.4429, 0.8512)  2 S 1.58-1.63
N (0.2407, 0.4865, 0.6700)  1 S 1.56
N (0.2640, 0.4962, 0.3755)  1 S 1.56
N (0.3689, 0.6177, 0.2500)  2 S 1.58-1.62
N (0.6681, 0.8360, 0.2913)  2 S 1.57-1.62
N (0.7555, 0.9540, 0.1519)  1 S 1.56
N (0.7871, 0.9472, 0.8514)  1 S 1.56
N (0.8692, 0.0048, 0.6715)  2 S 1.58-1.61
Cl (0.0520, 0.7784, 0.9692)  1 Te 2.38
Cl (0.3064, 0.1293, 0.1264)  3 Te 2.92-3.22, 1 S 3.21
Cl (0.4221, 0.8636, 0.8781)  1 Te 2.38
Cl (0.6011, 0.5653, 0.6559)  1 Te 2.41
Cl (0.6818, 0.3110, 0.3862)  1 Te 2.75
Cl (0.9692, 0.6861, 0.5828)  1 Te 2.56
F (0.9995, 0.2476, 0.4222)  1 Te 2.00
F (0.0740, 0.0187, 0.4918)  1 As 1.77
F (0.1831, 0.9228, 0.3189)  1 As 1.79
F (0.2523, 0.8618, 0.5447)  1 As 1.77
F (0.2661, 0.1675, 0.4777)  1 As 1.78
F (0.3253, 0.1106, 0.7047)  1 As 1.78
F (0.4384, 0.0085, 0.5336)  1 As 1.79
F (0.6296, 0.4733, 0.9735)  1 As 1.72
F (0.7168, 0.2934, 0.8352)  1 As 1.74
F (0.7873, 0.2585, 0.0696)  1 As 1.73
F (0.8468, 0.5028, 0.2034)  1 As 1.74
F (0.9398, 0.4616, 0.0189)  1 As 1.73

Calculated values
SG   P1 (1)
Crystal system   triclinic



[2]
This record from the Materials Project database describes an optimized crystal structure of AsPCl3OF5. The functional is PBE.

Lattice parameters (Å, degrees): 6.1743 20.0581 8.4608 90.00 116.75 90.00
Last column: nearest neighbours and their distance in Å.
Positions (direct):
As (0.1347, 0.1229, 0.1817)  5 F 1.75-1.77
As (0.1347, 0.3771, 0.6817)  5 F 1.75-1.77
As (0.8653, 0.6229, 0.3183)  5 F 1.75-1.77
As (0.8653, 0.8771, 0.8183)  5 F 1.75-1.77
P (0.1823, 0.1102, 0.8177)  1 O 1.52
P (0.1823, 0.3898, 0.3177)  1 O 1.52
P (0.8177, 0.6102, 0.6823)  1 O 1.52
P (0.8177, 0.8898, 0.1823)  1 O 1.52
Cl (0.1534, 0.6293, 0.8588)  1 P 1.97
Cl (0.1534, 0.8707, 0.3588)  1 P 1.97
Cl (0.3085, 0.0398, 0.7198)  1 P 1.97
Cl (0.3085, 0.4602, 0.2198)  1 P 1.97
Cl (0.3733, 0.1913, 0.8417)  1 P 1.97
Cl (0.3733, 0.3087, 0.3417)  1 P 1.97
Cl (0.6267, 0.6913, 0.6583)  1 P 1.97
Cl (0.6267, 0.8087, 0.1583)  1 P 1.97
Cl (0.6915, 0.5398, 0.7802)  1 P 1.97
Cl (0.6915, 0.9602, 0.2802)  1 P 1.97
Cl (0.8466, 0.1293, 0.6412)  1 P 1.97
Cl (0.8466, 0.3707, 0.1412)  1 P 1.97
O (0.2006, 0.0846, 0.9921)  1 P 1.52
O (0.2006, 0.4154, 0.4921)  1 P 1.52
O (0.7994, 0.5846, 0.5079)  1 P 1.52
O (0.7994, 0.9154, 0.0079)  1 P 1.52
F (0.0193, 0.1946, 0.0491)  1 As 1.77
F (0.0193, 0.3054, 0.5491)  1 As 1.77
F (0.0838, 0.1549, 0.3541)  1 As 1.75
F (0.0838, 0.3451, 0.8541)  1 As 1.75
F (0.1529, 0.5856, 0.4240)  1 As 1.76
F (0.1529, 0.9144, 0.9240)  1 As 1.76
F (0.2575, 0.0479, 0.2943)  1 As 1.76
F (0.2575, 0.4521, 0.7943)  1 As 1.76
F (0.4291, 0.1573, 0.2695)  1 As 1.76
F (0.4291, 0.3427, 0.7695)  1 As 1.76
F (0.5709, 0.6573, 0.2305)  1 As 1.76
F (0.5709, 0.8427, 0.7305)  1 As 1.76
F (0.7425, 0.5479, 0.2057)  1 As 1.76
F (0.7425, 0.9521, 0.7057)  1 As 1.76
F (0.8471, 0.0856, 0.0760)  1 As 1.76
F (0.8471, 0.4144, 0.5760)  1 As 1.76
F (0.9162, 0.6549, 0.1459)  1 As 1.75
F (0.9162, 0.8451, 0.6459)  1 As 1.75
F (0.9807, 0.6946, 0.4509)  1 As 1.77
F (0.9807, 0.8054, 0.9509)  1 As 1.77

Calculated values
SG   P2_1/c (14)
Crystal system   monoclinic



[3]
This record from the Materials Project database describes an optimized crystal structure of AsSClOF8. The functional is PBE.

Lattice parameters (Å, degrees): 8.4920 9.0905 12.3465 90.00 127.31 90.00
Last column: nearest neighbours and their distance in Å.
Positions (direct):
As (0.1948, 0.1864, 0.4406)  6 F 1.76-1.80
As (0.1948, 0.3136, 0.9406)  6 F 1.76-1.80
As (0.8052, 0.6864, 0.0594)  6 F 1.76-1.80
As (0.8052, 0.8136, 0.5594)  6 F 1.76-1.80
S (0.3707, 0.6784, 0.6223)  1 O 1.40, 2 F 1.53-1.54
S (0.3707, 0.8216, 0.1223)  1 O 1.40, 2 F 1.53-1.54
S (0.6293, 0.1784, 0.8777)  1 O 1.40, 2 F 1.53-1.54
S (0.6293, 0.3216, 0.3777)  1 O 1.40, 2 F 1.53-1.54
Cl (0.1481, 0.7042, 0.4361)  1 S 1.91
Cl (0.1481, 0.7958, 0.9361)  1 S 1.91
Cl (0.8519, 0.2042, 0.0639)  1 S 1.91
Cl (0.8519, 0.2958, 0.5639)  1 S 1.91
O (0.4808, 0.6969, 0.1965)  1 S 1.40
O (0.4808, 0.8031, 0.6965)  1 S 1.40
O (0.5192, 0.1969, 0.3035)  1 S 1.40
O (0.5192, 0.3031, 0.8035)  1 S 1.40
F (0.0611, 0.6494, 0.1490)  1 As 1.77
F (0.0611, 0.8506, 0.6490)  1 As 1.77
F (0.1375, 0.2133, 0.7951)  1 As 1.80
F (0.1375, 0.2867, 0.2951)  1 As 1.80
F (0.1639, 0.1482, 0.0033)  1 As 1.78
F (0.1639, 0.3518, 0.5033)  1 As 1.78
F (0.2228, 0.0257, 0.3738)  1 As 1.76
F (0.2228, 0.4743, 0.8738)  1 As 1.76
F (0.2533, 0.0892, 0.5843)  1 As 1.76
F (0.2533, 0.4108, 0.0843)  1 As 1.76
F (0.2942, 0.5919, 0.6884)  1 S 1.53
F (0.2942, 0.9081, 0.1884)  1 S 1.53
F (0.4485, 0.2319, 0.5270)  1 As 1.78
F (0.4485, 0.2681, 0.0270)  1 As 1.78
F (0.4952, 0.5558, 0.6225)  1 S 1.54
F (0.4952, 0.9442, 0.1225)  1 S 1.54
F (0.5048, 0.0558, 0.8775)  1 S 1.54
F (0.5048, 0.4442, 0.3775)  1 S 1.54
F (0.5515, 0.7319, 0.9730)  1 As 1.78
F (0.5515, 0.7681, 0.4730)  1 As 1.78
F (0.7058, 0.0919, 0.8116)  1 S 1.53
F (0.7058, 0.4081, 0.3116)  1 S 1.53
F (0.7467, 0.5892, 0.9157)  1 As 1.76
F (0.7467, 0.9108, 0.4157)  1 As 1.76
F (0.7772, 0.5257, 0.1262)  1 As 1.76
F (0.7772, 0.9743, 0.6262)  1 As 1.76
F (0.8361, 0.6482, 0.4967)  1 As 1.78
F (0.8361, 0.8518, 0.9967)  1 As 1.78
F (0.8625, 0.7133, 0.7049)  1 As 1.80
F (0.8625, 0.7867, 0.2049)  1 As 1.80
F (0.9389, 0.1494, 0.3510)  1 As 1.77
F (0.9389, 0.3506, 0.8510)  1 As 1.77

Calculated values
SG   P2_1/c (14)
Relative energy among the computed polymorphs   2 meV per atom
Crystal system   monoclinic



[4]
This record from the Materials Project database describes an optimized crystal structure of AsSClOF8. The functional is PBE.

Lattice parameters (Å, degrees): 8.6247 9.3430 10.0477 90.00 95.37 90.00
Last column: nearest neighbours and their distance in Å.
Positions (direct):
As (0.0036, 0.0000, 0.3080)  6 F 1.77-1.80
As (0.4962, 0.3740, 0.1916)  6 F 1.76-1.80
As (0.5038, 0.8740, 0.8084)  6 F 1.76-1.80
As (0.9964, 0.5000, 0.6920)  6 F 1.77-1.80
S (0.0039, 0.0090, 0.8700)  1 O 1.40, 2 F 1.53
S (0.4939, 0.8384, 0.3629)  1 O 1.40, 2 F 1.54
S (0.5061, 0.3384, 0.6371)  1 O 1.40, 2 F 1.54
S (0.9961, 0.5090, 0.1300)  1 O 1.40, 2 F 1.53
Cl (0.0333, 0.9879, 0.6845)  1 S 1.91
Cl (0.4633, 0.3913, 0.8141)  1 S 1.91
Cl (0.5367, 0.8913, 0.1859)  1 S 1.91
Cl (0.9667, 0.4879, 0.3155)  1 S 1.91
O (0.0259, 0.3855, 0.0578)  1 S 1.40
O (0.3716, 0.7437, 0.3799)  1 S 1.40
O (0.6284, 0.2437, 0.6201)  1 S 1.40
O (0.9741, 0.8855, 0.9422)  1 S 1.40
F (0.0761, 0.5901, 0.8371)  1 As 1.77
F (0.0840, 0.3366, 0.7519)  1 As 1.78
F (0.0852, 0.9075, 0.4554)  1 As 1.80
F (0.0933, 0.1589, 0.3714)  1 As 1.77
F (0.1201, 0.6259, 0.1236)  1 S 1.53
F (0.1449, 0.0944, 0.9315)  1 S 1.53
F (0.1646, 0.5376, 0.6094)  1 As 1.77
F (0.1724, 0.9554, 0.2278)  1 As 1.78
F (0.3273, 0.4190, 0.2712)  1 As 1.78
F (0.3348, 0.8373, 0.8903)  1 As 1.77
F (0.3500, 0.2878, 0.5663)  1 S 1.54
F (0.4077, 0.2150, 0.1277)  1 As 1.76
F (0.4154, 0.0370, 0.7470)  1 As 1.79
F (0.4149, 0.4680, 0.0447)  1 As 1.80
F (0.4256, 0.7837, 0.6629)  1 As 1.77
F (0.4809, 0.9818, 0.4360)  1 S 1.54
F (0.5191, 0.4818, 0.5640)  1 S 1.54
F (0.5744, 0.2837, 0.3371)  1 As 1.77
F (0.5846, 0.5370, 0.2530)  1 As 1.79
F (0.5851, 0.9680, 0.9553)  1 As 1.80
F (0.5923, 0.7150, 0.8723)  1 As 1.76
F (0.6500, 0.7878, 0.4337)  1 S 1.54
F (0.6652, 0.3373, 0.1097)  1 As 1.77
F (0.6727, 0.9190, 0.7288)  1 As 1.78
F (0.8276, 0.4554, 0.7722)  1 As 1.78
F (0.8354, 0.0376, 0.3906)  1 As 1.77
F (0.8551, 0.5944, 0.0685)  1 S 1.53
F (0.8799, 0.1259, 0.8764)  1 S 1.53
F (0.9067, 0.6589, 0.6286)  1 As 1.77
F (0.9148, 0.4075, 0.5446)  1 As 1.80
F (0.9160, 0.8366, 0.2481)  1 As 1.78
F (0.9239, 0.0901, 0.1629)  1 As 1.77

Calculated values
SG   P2_1 (4)
Relative energy among the computed polymorphs   0 meV per atom
Crystal system   monoclinic



Respective energy relative to the elements values: -0.780; -1.906; -2.015; -2.017 eV/atom.